No. 1
# Li8SbO3 (PBE-GGA, relaxed)
# **Magnetization**: 1.0 Bohr magnetons per cell
# **VASP energy**: -47.501 eV for the cell shown
data_Li8SbO3
_space_group_name_H-M_alt 'P m -3 m'
_space_group_IT_number 221
_space_group_name_Hall '-P 4 2 3'
_cell_length_a 5.255
_cell_length_b 5.255
_cell_length_c 5.255
_cell_angle_alpha 90.00
_cell_angle_beta 90.00
_cell_angle_gamma 90.00
loop_
_atom_site_label
_atom_site_type_symbol
_atom_site_fract_x
_atom_site_fract_y
_atom_site_fract_z
_atom_site_occupancy
Li1 Li 0.226 0.226 0.226 1
Sb1 Sb 0.500 0.500 0.500 1
O1 O 0.000 0.000 0.500 1



No. 2
# LiSbO3 (PBE-GGA, relaxed)
# **VASP energy**: -117.647 eV for the cell shown
data_LiSbO3
_space_group_name_H-M_alt 'P n n a'
_space_group_IT_number 52
_cell_length_a 5.270
_cell_length_b 4.992
_cell_length_c 8.609
_cell_angle_alpha 90.00
_cell_angle_beta 90.00
_cell_angle_gamma 90.00
loop_
_space_group_symop_operation_xyz
'x,y,z'
'-x,-y,-z'
'-x+1/2,-y,z'
'x+1/2,y,-z'
'x,-y+1/2,-z+1/2'
'-x,y+1/2,z+1/2'
'-x+1/2,y+1/2,-z+1/2'
'x+1/2,-y+1/2,z+1/2'
loop_
_atom_site_label
_atom_site_type_symbol
_atom_site_fract_x
_atom_site_fract_y
_atom_site_fract_z
_atom_site_occupancy
Li1 Li 0.250 0.000 0.194 1
Sb1 Sb 0.250 0.000 0.595 1
O1 O 0.076 0.205 0.418 1
O2 O 0.091 0.250 0.750 1



No. 3
# LiSbO3 (PBE-GGA, relaxed)
# **Magnetization**: 0.0 Bohr magnetons per cell
# **VASP energy**: -115.871 eV for the cell shown
# **Piezoelectric modulus e_max**: 0.38 C/m²
data_LiSbO3
_space_group_name_H-M_alt 'P 21 3'
_space_group_IT_number 198
_space_group_name_Hall 'P 2ac 2ab 3'
_cell_length_a 6.021
_cell_length_b 6.021
_cell_length_c 6.021
_cell_angle_alpha 90.00
_cell_angle_beta 90.00
_cell_angle_gamma 90.00
loop_
_atom_site_label
_atom_site_type_symbol
_atom_site_fract_x
_atom_site_fract_y
_atom_site_fract_z
_atom_site_occupancy
Li1 Li 0.128 0.372 0.628 1
Sb1 Sb 0.092 0.908 0.408 1
O1 O 0.015 0.723 0.138 1



No. 4
# LiSbO2 (PBE-GGA, relaxed)
# **VASP energy**: -89.593 eV for the cell shown
data_LiSbO2
_space_group_name_H-M_alt 'C 1 2/c 1'
_space_group_IT_number 15
_cell_length_a 7.061
_cell_length_b 8.878
_cell_length_c 5.357
_cell_angle_alpha 90.00
_cell_angle_beta 130.23
_cell_angle_gamma 90.00
loop_
_space_group_symop_operation_xyz
'x,y,z'
'-x,-y,-z'
'-x,y,-z+1/2'
'x,-y,z+1/2'
'x+1/2,y+1/2,z'
'-x+1/2,-y+1/2,-z'
'-x+1/2,y+1/2,-z+1/2'
'x+1/2,-y+1/2,z+1/2'
loop_
_atom_site_label
_atom_site_type_symbol
_atom_site_fract_x
_atom_site_fract_y
_atom_site_fract_z
_atom_site_occupancy
Li1 Li 0.000 0.048 0.250 1
Sb1 Sb 0.000 0.396 0.750 1
O1 O 0.230 0.464 0.261 1



No. 5
# LiSbO3 (PBE-GGA, relaxed)
# **VASP energy**: -116.824 eV for the cell shown
data_LiSbO3
_space_group_name_H-M_alt 'C 1 2/m 1'
_space_group_IT_number 12
_cell_length_a 5.181
_cell_length_b 9.493
_cell_length_c 5.215
_cell_angle_alpha 90.00
_cell_angle_beta 105.51
_cell_angle_gamma 90.00
loop_
_space_group_symop_operation_xyz
'x,y,z'
'-x,-y,-z'
'-x,y,-z'
'x,-y,z'
'x+1/2,y+1/2,z'
'-x+1/2,-y+1/2,-z'
'-x+1/2,y+1/2,-z'
'x+1/2,-y+1/2,z'
loop_
_atom_site_label
_atom_site_type_symbol
_atom_site_fract_x
_atom_site_fract_y
_atom_site_fract_z
_atom_site_occupancy
Li1 Li 0.000 0.152 0.000 1
Sb1 Sb 0.000 0.338 0.500 1
O1 O 0.205 0.500 0.714 1
O2 O 0.241 0.300 0.266 1



No. 6
# Li7SbO6 (PBE-GGA, relaxed)
# **VASP energy**: -73.300 eV for the cell shown
# **Piezoelectric modulus e_max**: 0.38 C/m²
data_Li7SbO6
_space_group_name_H-M_alt 'P 1'
_space_group_IT_number 1
_cell_length_a 5.423
_cell_length_b 5.473
_cell_length_c 5.897
_cell_angle_alpha 63.58
_cell_angle_beta 64.34
_cell_angle_gamma 60.98
loop_
_space_group_symop_operation_xyz
'x,y,z'
loop_
_atom_site_label
_atom_site_type_symbol
_atom_site_fract_x
_atom_site_fract_y
_atom_site_fract_z
_atom_site_occupancy
Li1 Li 0.000 0.000 0.000 1
Li2 Li 0.022 0.758 0.749 1
Li3 Li 0.147 0.497 0.433 1
Li4 Li 0.316 0.356 0.007 1
Li5 Li 0.436 0.096 0.737 1
Li6 Li 0.629 0.596 0.002 1
Li7 Li 0.872 0.202 0.374 1
Sb1 Sb 0.529 0.842 0.388 1
O1 O 0.158 0.074 0.613 1
O2 O 0.307 0.951 0.129 1
O3 O 0.415 0.489 0.614 1
O4 O 0.611 0.219 0.173 1
O5 O 0.759 0.774 0.617 1
O6 O 0.904 0.622 0.148 1



No. 7
# Li5Sm3Sb2O12 (PBE-GGA, relaxed)
# **Magnetization**: 0.0 Bohr magnetons per cell
# **VASP energy**: -574.622 eV for the cell shown
data_Li5Sm3Sb2O12
_space_group_name_H-M_alt 'P 1'
_space_group_IT_number 1
_cell_length_a 11.030
_cell_length_b 11.034
_cell_length_c 11.046
_cell_angle_alpha 109.20
_cell_angle_beta 109.63
_cell_angle_gamma 109.51
loop_
_space_group_symop_operation_xyz
'x,y,z'
loop_
_atom_site_label
_atom_site_type_symbol
_atom_site_fract_x
_atom_site_fract_y
_atom_site_fract_z
_atom_site_occupancy
Li1 Li 0.000 0.000 0.000 1
Li2 Li 0.003 0.730 0.281 1
Li3 Li 0.013 0.976 0.371 1
Li4 Li 0.102 0.563 0.221 1
Li5 Li 0.108 0.612 0.501 1
Li6 Li 0.165 0.219 0.606 1
Li7 Li 0.184 0.502 0.672 1
Li8 Li 0.261 0.110 0.164 1
Li9 Li 0.276 0.479 0.135 1
Li10 Li 0.284 0.385 0.873 1
Li11 Li 0.401 0.846 0.787 1
Li12 Li 0.507 0.052 0.098 1
Li13 Li 0.564 0.119 0.891 1
Li14 Li 0.596 0.213 0.369 1
Li15 Li 0.631 0.890 0.356 1
Li16 Li 0.646 0.361 0.883 1
Li17 Li 0.677 0.827 0.534 1
Li18 Li 0.739 0.458 0.701 1
Li19 Li 0.758 0.855 0.765 1
Li20 Li 0.912 0.512 0.607 1
Sm1 Sm 0.010 0.096 0.753 1
Sm2 Sm 0.027 0.479 0.887 1
Sm3 Sm 0.142 0.839 0.872 1
Sm4 Sm 0.144 0.340 0.364 1
Sm5 Sm 0.262 0.982 0.626 1
Sm6 Sm 0.283 0.861 0.255 1
Sm7 Sm 0.518 0.477 0.381 1
Sm8 Sm 0.523 0.599 0.756 1
Sm9 Sm 0.641 0.108 0.636 1
Sm10 Sm 0.644 0.604 0.130 1
Sm11 Sm 0.769 0.975 0.125 1
Sm12 Sm 0.773 0.359 0.247 1
Sb1 Sb 0.387 0.223 0.000 1
Sb2 Sb 0.392 0.230 0.510 1
Sb3 Sb 0.392 0.730 0.506 1
Sb4 Sb 0.397 0.726 0.007 1
Sb5 Sb 0.884 0.729 0.500 1
Sb6 Sb 0.890 0.226 0.502 1
Sb7 Sb 0.894 0.227 0.005 1
Sb8 Sb 0.901 0.727 0.006 1
O1 O 0.011 0.927 0.525 1
O2 O 0.027 0.654 0.107 1
O3 O 0.068 0.325 0.981 1
O4 O 0.074 0.310 0.703 1
O5 O 0.083 0.753 0.625 1
O6 O 0.098 0.903 0.080 1
O7 O 0.186 0.093 0.970 1
O8 O 0.193 0.642 0.832 1
O9 O 0.211 0.747 0.407 1
O10 O 0.217 0.030 0.429 1
O11 O 0.263 0.193 0.797 1
O12 O 0.279 0.635 0.090 1
O13 O 0.298 0.618 0.593 1
O14 O 0.307 0.259 0.335 1
O15 O 0.308 0.352 0.594 1
O16 O 0.309 0.530 0.332 1
O17 O 0.363 0.897 0.092 1
O18 O 0.376 0.025 0.888 1
O19 O 0.415 0.422 0.111 1
O20 O 0.424 0.556 0.909 1
O21 O 0.465 0.930 0.678 1
O22 O 0.473 0.110 0.420 1
O23 O 0.487 0.204 0.684 1
O24 O 0.497 0.853 0.435 1
O25 O 0.502 0.239 0.198 1
O26 O 0.517 0.824 0.929 1
O27 O 0.561 0.430 0.584 1
O28 O 0.567 0.705 0.597 1
O29 O 0.589 0.334 0.025 1
O30 O 0.601 0.807 0.172 1
O31 O 0.683 0.699 0.378 1
O32 O 0.698 0.555 0.916 1
O33 O 0.717 0.152 0.304 1
O34 O 0.722 0.138 0.039 1
O35 O 0.767 0.522 0.468 1
O36 O 0.789 0.819 0.923 1
O37 O 0.797 0.058 0.537 1
O38 O 0.797 0.306 0.885 1
O39 O 0.813 0.053 0.806 1
O40 O 0.816 0.330 0.623 1
O41 O 0.863 0.608 0.304 1
O42 O 0.876 0.811 0.181 1
O43 O 0.897 0.847 0.692 1
O44 O 0.927 0.631 0.831 1
O45 O 0.978 0.138 0.391 1
O46 O 0.978 0.398 0.211 1
O47 O 0.983 0.143 0.122 1
O48 O 0.992 0.411 0.489 1



No. 8
# LiSbTe3O12 (PBE-GGA, relaxed)
# **Magnetization**: 0.0 Bohr magnetons per cell
# **Energy above the most stable polymorph in this dataset**: 6.7 meV per atom
data_LiSbTe3O12
_space_group_name_H-M_alt 'P 1 2 1'
_space_group_IT_number 3
_cell_length_a 4.907
_cell_length_b 8.556
_cell_length_c 5.237
_cell_angle_alpha 90.00
_cell_angle_beta 90.56
_cell_angle_gamma 90.00
loop_
_space_group_symop_operation_xyz
'x,y,z'
'-x,y,-z'
loop_
_atom_site_label
_atom_site_type_symbol
_atom_site_fract_x
_atom_site_fract_y
_atom_site_fract_z
_atom_site_occupancy
Li1 Li 0.000 0.000 0.000 1
Sb1 Sb 0.000 0.384 0.000 1
Te1 Te 0.000 0.205 0.500 1
Te2 Te 0.500 0.691 0.000 1
Te3 Te 0.500 0.884 0.500 1
O1 O 0.203 0.201 0.818 1
O2 O 0.217 0.362 0.323 1
O3 O 0.242 0.035 0.357 1
O4 O 0.253 0.542 0.856 1
O5 O 0.287 0.863 0.817 1
O6 O 0.288 0.720 0.313 1